1.
## Ca5Au4 (r2SCAN)

Data for an optimized crystal structure of Ca5Au4.

Calculated values
Total magnetic moment, μB/f.u.: 0.00
SG: P2_1/c (14)

abc: 8.0494 8.0602 7.7196
angles: 90.00 109.18 90.00
Fractional positions:
Ca 0.0000 0.0000 0.0000
Ca 0.0000 0.5000 0.5000
Ca 0.2566 0.1709 0.7526
Ca 0.2566 0.3291 0.2526
Ca 0.3083 0.6789 0.9314
Ca 0.3083 0.8211 0.4314
Ca 0.6917 0.1789 0.5686
Ca 0.6917 0.3211 0.0686
Ca 0.7434 0.6709 0.7474
Ca 0.7434 0.8291 0.2474
Au 0.0125 0.6306 0.1291
Au 0.0125 0.8694 0.6291
Au 0.4195 0.0329 0.1440
Au 0.4195 0.4671 0.6440
Au 0.5805 0.5329 0.3560
Au 0.5805 0.9671 0.8560
Au 0.9875 0.1306 0.3709
Au 0.9875 0.3694 0.8709



2.
## Ca5Au3 (r2SCAN)

Data for an optimized crystal structure of Ca5Au3.

Calculated values
Total magnetic moment, μB/f.u.: 0.00
SG: C2/m (12)

abc: 7.8261 7.8261 9.1373
angles: 115.28 115.28 90.06
Fractional positions:
Ca 0.0000 0.5000 0.5000
Ca 0.0262 0.0262 0.2117
Ca 0.1859 0.5266 0.2118
Ca 0.3145 0.3145 0.7880
Ca 0.4734 0.8141 0.7882
Ca 0.5000 0.0000 0.5000
Ca 0.5266 0.1859 0.2118
Ca 0.6855 0.6855 0.2120
Ca 0.8141 0.4734 0.7882
Ca 0.9738 0.9738 0.7883
Au 0.1284 0.8716 0.5000
Au 0.2505 0.7495 0.0000
Au 0.3711 0.3711 0.4992
Au 0.6289 0.6289 0.5008
Au 0.7495 0.2505 0.0000
Au 0.8716 0.1284 0.5000



3.
## CaAu5 (r2SCAN)

Data for an optimized crystal structure of CaAu5.

Calculated values
Total magnetic moment, μB/f.u.: 0.00
SG: F-43m (216)

abc: 5.5152 5.5152 5.5152
angles: 60.00 60.00 60.00
Fractional positions:
Ca 0.0000 0.0000 0.0000
Au 0.3752 0.3752 0.3752
Au 0.3752 0.3752 0.8743
Au 0.3752 0.8743 0.3752
Au 0.7500 0.7500 0.7500
Au 0.8743 0.3752 0.3752



4.
## CaCdAu (r2SCAN)

Data for an optimized crystal structure of CaCdAu.

Calculated values
Total magnetic moment, μB/f.u.: 0.00
SG: Pnma (62)

abc: 7.4791 4.2518 8.9182
angles: 90.00 90.00 90.00
Fractional positions:
Ca 0.0459 0.2500 0.1812
Ca 0.4541 0.7500 0.6812
Ca 0.5459 0.2500 0.3188
Ca 0.9541 0.7500 0.8188
Cd 0.1378 0.2500 0.5620
Cd 0.3622 0.7500 0.0620
Cd 0.6378 0.2500 0.9380
Cd 0.8622 0.7500 0.4380
Au 0.2477 0.2500 0.8695
Au 0.2523 0.7500 0.3695
Au 0.7477 0.2500 0.6305
Au 0.7523 0.7500 0.1305



5.
## CaCd2Au4 (r2SCAN)

Data for an optimized crystal structure of CaCd2Au4.

Calculated values
Total magnetic moment, μB/f.u.: 0.00
SG: I4/mmm (139)

abc: 5.7816 5.7816 5.7816
angles: 103.33 103.33 122.61
Fractional positions:
Ca 0.0000 0.0000 0.0000
Cd 0.2500 0.7500 0.5000
Cd 0.7500 0.2500 0.5000
Au 0.3037 0.3037 0.6073
Au 0.3037 0.6963 0.0000
Au 0.6963 0.3037 0.0000
Au 0.6963 0.6963 0.3927



6.
## CaGaAu (r2SCAN)

Data for an optimized crystal structure of CaGaAu.

Calculated values
Total magnetic moment, μB/f.u.: 0.00
SG: Pnma (62)

abc: 7.3057 4.5565 7.6597
angles: 90.00 90.00 90.00
Fractional positions:
Ca 0.0061 0.2500 0.1994
Ca 0.4939 0.7500 0.6994
Ca 0.5061 0.2500 0.3006
Ca 0.9939 0.7500 0.8006
Ga 0.1807 0.2500 0.5811
Ga 0.3193 0.7500 0.0811
Ga 0.6807 0.2500 0.9189
Ga 0.8193 0.7500 0.4189
Au 0.2037 0.7500 0.4078
Au 0.2963 0.2500 0.9078
Au 0.7037 0.7500 0.0922
Au 0.7963 0.2500 0.5922



no.,theoretical density (g/cm3),E_form (eV/atom)
1,6.9,-0.801
2,5.9,-0.712
3,14.3,-0.452
4,8.2,-0.673
5,12.2,-0.495
6,8.0,-0.774